(1)
Sr3Rh2N4: relaxed, GGA-PBE.

Unit cell a=6.3667 b=10.3261 c=9.0585 alpha=90.00 beta=90.00 gamma=90.00
With the nearest neighbours (Å) after each atom.
Fractional positions:
Sr  0.7500  0.5000  0.4081  6 N 2.63-2.91
Sr  0.2500  0.5000  0.5919  6 N 2.63-2.91
Sr  0.1223  0.3450  0.9188  4 N 2.52-2.71
Sr  0.6223  0.3450  0.0812  4 N 2.52-2.71
Sr  0.6223  0.1550  0.4188  4 N 2.52-2.71
Sr  0.3777  0.6550  0.9188  4 N 2.52-2.71
Sr  0.7500  0.0000  0.0919  6 N 2.63-2.91
Sr  0.8777  0.6550  0.0812  4 N 2.52-2.71
Sr  0.3777  0.8450  0.5812  4 N 2.52-2.71
Sr  0.2500  0.0000  0.9081  6 N 2.63-2.91
Sr  0.8777  0.8450  0.4188  4 N 2.52-2.71
Sr  0.1223  0.1550  0.5812  4 N 2.52-2.71
Rh  0.2500  0.0000  0.2457  4 N 2.00-2.11
Rh  0.7500  0.5000  0.7457  4 N 2.00-2.11
Rh  0.3199  0.7500  0.2500  4 N 2.07-2.10
Rh  0.2500  0.5000  0.2543  4 N 2.00-2.11
Rh  0.8199  0.7500  0.7500  4 N 2.07-2.10
Rh  0.7500  0.0000  0.7543  4 N 2.00-2.11
Rh  0.6801  0.2500  0.7500  4 N 2.07-2.10
Rh  0.1801  0.2500  0.2500  4 N 2.07-2.10
N  0.9208  0.3567  0.6573  2 Rh 2.00-2.07
N  0.0260  0.5995  0.8080  2 Rh 2.10-2.11
N  0.0792  0.8567  0.1573  2 Rh 2.00-2.07
N  0.4208  0.1433  0.1573  2 Rh 2.00-2.07
N  0.4740  0.4005  0.8080  2 Rh 2.10-2.11
N  0.9740  0.0995  0.3080  2 Rh 2.10-2.11
N  0.5260  0.9005  0.3080  2 Rh 2.10-2.11
N  0.4740  0.0995  0.6920  2 Rh 2.10-2.11
N  0.0260  0.9005  0.6920  2 Rh 2.10-2.11
N  0.5792  0.6433  0.6573  2 Rh 2.00-2.07
N  0.9208  0.1433  0.8427  2 Rh 2.00-2.07
N  0.5792  0.8567  0.8427  2 Rh 2.00-2.07
N  0.4208  0.3567  0.3427  2 Rh 2.00-2.07
N  0.5260  0.5995  0.1920  2 Rh 2.10-2.11
N  0.9740  0.4005  0.1920  2 Rh 2.10-2.11
N  0.0792  0.6433  0.3427  2 Rh 2.00-2.07

Calculated values
Calculated total energy (eV per atom): -6.131
Formation energy (eV per formula unit): -3.482



(2)
Zr4Rh2N: relaxed, GGA-PBE.

Unit cell a=8.8211 b=8.8211 c=8.8211 alpha=60.00 beta=60.00 gamma=60.00
With the nearest neighbours (Å) after each atom.
Fractional positions:
Zr  0.1826  0.1826  0.8174  2 N 2.32
Zr  0.6250  0.6250  0.1250  6 Rh 2.76
Zr  0.4326  0.4326  0.0674  2 N 2.32
Zr  0.0674  0.4326  0.4326  2 N 2.32
Zr  0.8174  0.8174  0.1826  2 N 2.32
Zr  0.1250  0.6250  0.6250  6 Rh 2.76
Zr  0.1826  0.8174  0.8174  2 N 2.32
Zr  0.4326  0.0674  0.0674  2 N 2.32
Zr  0.8174  0.1826  0.1826  2 N 2.32
Zr  0.8174  0.1826  0.8174  2 N 2.32
Zr  0.6250  0.1250  0.6250  6 Rh 2.76
Zr  0.1826  0.8174  0.1826  2 N 2.32
Zr  0.0674  0.0674  0.4326  2 N 2.32
Zr  0.6250  0.6250  0.6250  6 Rh 2.76
Zr  0.4326  0.0674  0.4326  2 N 2.32
Zr  0.0674  0.4326  0.0674  2 N 2.32
Rh  0.4089  0.4089  0.7734  6 Zr 2.76-2.82
Rh  0.4766  0.8411  0.8411  6 Zr 2.76-2.82
Rh  0.4089  0.4089  0.4089  6 Zr 2.76-2.82
Rh  0.8411  0.8411  0.4766  6 Zr 2.76-2.82
Rh  0.8411  0.4766  0.8411  6 Zr 2.76-2.82
Rh  0.4089  0.7734  0.4089  6 Zr 2.76-2.82
Rh  0.7734  0.4089  0.4089  6 Zr 2.76-2.82
Rh  0.8411  0.8411  0.8411  6 Zr 2.76-2.82
N  0.1250  0.1250  0.1250  6 Zr 2.32
N  0.1250  0.6250  0.1250  6 Zr 2.32
N  0.6250  0.1250  0.1250  6 Zr 2.32
N  0.1250  0.1250  0.6250  6 Zr 2.32

Calculated values
Calculated total energy (eV per atom): -9.175
Formation energy (eV per formula unit): -7.327



(3)
RuN: relaxed, GGA-PBE.

Unit cell a=2.9484 b=2.9484 c=2.7292 alpha=90.00 beta=90.00 gamma=120.00
With the nearest neighbours (Å) after each atom.
Fractional positions:
N  0.0000  0.0000  0.5000  6 Ru 2.18
Ru  0.6667  0.3333  0.0000  6 N 2.18

Calculated values
Calculated total energy (eV per atom): -7.892
Formation energy (eV per formula unit): 1.465



(4)
RuN: relaxed, GGA-PBE.

Unit cell a=2.9972 b=2.9972 c=5.1853 alpha=90.00 beta=90.00 gamma=120.00
With the nearest neighbours (Å) after each atom.
Fractional positions:
Ru  0.0000  0.0000  0.0000  6 N 2.16
Ru  0.0000  0.0000  0.5000  6 N 2.16
N  0.3333  0.6667  0.2500  6 Ru 2.16
N  0.6667  0.3333  0.7500  6 Ru 2.16

Calculated values
Calculated total energy (eV per atom): -8.128
Formation energy (eV per formula unit): 0.994



(5)
RuN: relaxed, GGA-PBE.

Unit cell a=3.0652 b=3.0652 c=3.0652 alpha=60.00 beta=60.00 gamma=60.00
With the nearest neighbours (Å) after each atom.
Fractional positions:
N  0.5000  0.5000  0.5000  6 Ru 2.17
Ru  0.0000  0.0000  0.0000  6 N 2.17

Calculated values
Calculated total energy (eV per atom): -7.881
Formation energy (eV per formula unit): 1.488



(6)
RuN: relaxed, GGA-PBE.

Unit cell a=3.2274 b=3.2274 c=3.2274 alpha=60.00 beta=60.00 gamma=60.00
With the nearest neighbours (Å) after each atom.
Fractional positions:
Ru  0.0000  0.0000  0.0000  4 N 1.98
N  0.2500  0.2500  0.2500  4 Ru 1.98

Calculated values
Calculated total energy (eV per atom): -8.546
Formation energy (eV per formula unit): 0.158



(7)
Sr3Ru2N4: relaxed, GGA-PBE.

Unit cell a=6.2581 b=10.4421 c=9.1639 alpha=90.00 beta=90.00 gamma=90.00
With the nearest neighbours (Å) after each atom.
Fractional positions:
Sr  0.1256  0.1546  0.5772  3 N 2.52-2.67
Sr  0.7500  0.5000  0.4054  6 N 2.66-2.85
Sr  0.8744  0.6546  0.0772  3 N 2.52-2.67
Sr  0.2500  0.0000  0.9054  6 N 2.66-2.85
Sr  0.3744  0.8454  0.5772  3 N 2.52-2.67
Sr  0.7500  0.0000  0.0946  6 N 2.66-2.85
Sr  0.6256  0.3454  0.0772  3 N 2.52-2.67
Sr  0.2500  0.5000  0.5946  6 N 2.66-2.85
Sr  0.8744  0.8454  0.4228  3 N 2.52-2.67
Sr  0.3744  0.6546  0.9228  3 N 2.52-2.67
Sr  0.1256  0.3454  0.9228  3 N 2.52-2.67
Sr  0.6256  0.1546  0.4228  3 N 2.52-2.67
Ru  0.7500  0.0000  0.7560  4 N 1.99-2.06
Ru  0.2500  0.5000  0.2560  4 N 1.99-2.06
Ru  0.8061  0.7500  0.7500  4 N 1.97-2.14
Ru  0.2500  0.0000  0.2440  4 N 1.99-2.06
Ru  0.7500  0.5000  0.7440  4 N 1.99-2.06
Ru  0.3061  0.7500  0.2500  4 N 1.97-2.14
Ru  0.1939  0.2500  0.2500  4 N 1.97-2.14
Ru  0.6939  0.2500  0.7500  4 N 1.97-2.14
N  0.0940  0.6434  0.3525  2 Ru 1.97-1.99
N  0.0185  0.9013  0.6894  2 Ru 2.06-2.14
N  0.0940  0.8566  0.1475  2 Ru 1.97-1.99
N  0.4060  0.3566  0.3525  2 Ru 1.97-1.99
N  0.5185  0.5987  0.1894  2 Ru 2.06-2.14
N  0.4815  0.4013  0.8106  2 Ru 2.06-2.14
N  0.9060  0.3566  0.6475  2 Ru 1.97-1.99
N  0.0185  0.5987  0.8106  2 Ru 2.06-2.14
N  0.9060  0.1434  0.8525  2 Ru 1.97-1.99
N  0.4060  0.1434  0.1475  2 Ru 1.97-1.99
N  0.5940  0.6434  0.6475  2 Ru 1.97-1.99
N  0.4815  0.0987  0.6894  2 Ru 2.06-2.14
N  0.9815  0.0987  0.3106  2 Ru 2.06-2.14
N  0.5940  0.8566  0.8525  2 Ru 1.97-1.99
N  0.9815  0.4013  0.1894  2 Ru 2.06-2.14
N  0.5185  0.9013  0.3106  2 Ru 2.06-2.14

Calculated values
Calculated total energy (eV per atom): -6.641
Formation energy (eV per formula unit): -4.251
Energy relative to the lowest polymorph listed for this composition (meV/atom): 0.0



(8)
Sr3RuN3: relaxed, GGA-PBE.

Unit cell a=7.8162 b=7.8162 c=5.3372 alpha=90.00 beta=90.00 gamma=120.00
With the nearest neighbours (Å) after each atom.
Fractional positions:
N  0.6953  0.1095  0.7500  1 Ru 1.87
N  0.4142  0.3047  0.7500  1 Ru 1.87
N  0.1095  0.4142  0.2500  1 Ru 1.87
N  0.5858  0.6953  0.2500  1 Ru 1.87
N  0.3047  0.8905  0.2500  1 Ru 1.87
N  0.8905  0.5858  0.7500  1 Ru 1.87
Ru  0.6667  0.3333  0.7500  3 N 1.87
Ru  0.3333  0.6667  0.2500  3 N 1.87
Sr  0.7349  0.0932  0.2500  5 N 2.70-2.91
Sr  0.2651  0.9068  0.7500  5 N 2.70-2.91
Sr  0.3583  0.2651  0.2500  5 N 2.70-2.91
Sr  0.0932  0.3583  0.7500  5 N 2.70-2.91
Sr  0.9068  0.6417  0.2500  5 N 2.70-2.91
Sr  0.6417  0.7349  0.7500  5 N 2.70-2.91

Calculated values
Calculated total energy (eV per atom): -6.156
Formation energy (eV per formula unit): -4.821